1.
Entry from Materials Project: an optimized crystal structure of Cd3H14S3N2O16 (r2SCAN).

abc: 18.702 7.920 10.012
angles: 90.00 90.00 90.00
Space group Cmc2_1 (No. 36)
Unique sites:
Cd: 0.000 0.188 0.000
Cd: 0.090 0.455 0.709
H: 0.000 0.182 0.739
H: 0.000 0.474 0.489
H: 0.092 0.179 0.534
H: 0.157 0.033 0.702
H: 0.173 0.244 0.538
H: 0.184 0.162 0.249
H: 0.196 0.005 0.852
H: 0.243 0.006 0.211
S: 0.000 0.190 0.328
S: 0.179 0.298 0.992
N: 0.195 0.035 0.255
O: 0.000 0.067 0.216
O: 0.000 0.098 0.458
O: 0.000 0.287 0.789
O: 0.000 0.458 0.070
O: 0.065 0.295 0.324
O: 0.125 0.162 0.996
O: 0.130 0.219 0.593
O: 0.161 0.424 0.889
O: 0.182 0.383 0.125
O: 0.249 0.223 0.963

Formation energy in meV per atom: -1170

2.
Entry from Materials Project: an optimized crystal structure of HfCd (r2SCAN).

abc: 3.047 3.047 9.162
angles: 90.00 90.00 90.00
Space group P4/nmm (No. 129, origin choice 2)
Unique sites:
Hf: 0.250 0.250 0.118
Cd: 0.250 0.250 0.623

Formation energy in meV per atom: -96

3.
Entry from Materials Project: an optimized crystal structure of Hf2Cd (r2SCAN).

abc: 3.062 3.062 13.767
angles: 90.00 90.00 90.00
Space group I4/mmm (No. 139)
Unique sites:
Hf: 0.000 0.000 0.172
Cd: 0.000 0.000 0.500

Formation energy in meV per atom: -95

Q: What is the formula in the first record?
A: Cd3H14S3N2O16

Q: The highest formation energy belongs to which entry?
A: Hf2Cd

Repeat the first record exactly.
Entry from Materials Project: an optimized crystal structure of Cd3H14S3N2O16 (r2SCAN).

abc: 18.702 7.920 10.012
angles: 90.00 90.00 90.00
Space group Cmc2_1 (No. 36)
Unique sites:
Cd: 0.000 0.188 0.000
Cd: 0.090 0.455 0.709
H: 0.000 0.182 0.739
H: 0.000 0.474 0.489
H: 0.092 0.179 0.534
H: 0.157 0.033 0.702
H: 0.173 0.244 0.538
H: 0.184 0.162 0.249
H: 0.196 0.005 0.852
H: 0.243 0.006 0.211
S: 0.000 0.190 0.328
S: 0.179 0.298 0.992
N: 0.195 0.035 0.255
O: 0.000 0.067 0.216
O: 0.000 0.098 0.458
O: 0.000 0.287 0.789
O: 0.000 0.458 0.070
O: 0.065 0.295 0.324
O: 0.125 0.162 0.996
O: 0.130 0.219 0.593
O: 0.161 0.424 0.889
O: 0.182 0.383 0.125
O: 0.249 0.223 0.963

Formation energy in meV per atom: -1170

Q: Look up the formation energy of the first one.
A: -1170 meV per atom